# 1
This record from the Materials Project describes a geometry-optimized Cs3MnH5 structure. The functional is GGA-PBE.

* MP2020-corrected energy: -3.37 eV per atom

The structure in CIF format:
```
data_Cs3MnH5
_chemical_formula_sum 'Cs12 Mn4 H20'
_cell_length_a 8.441
_cell_length_b 8.441
_cell_length_c 12.638
_cell_angle_alpha 90.00
_cell_angle_beta 90.00
_cell_angle_gamma 90.00
_space_group_name_H-M_alt 'I 4/m c m'
_space_group_IT_number 140
_space_group_name_Hall '-I 4 2c'
loop_
_atom_site_label
_atom_site_type_symbol
_atom_site_fract_x
_atom_site_fract_y
_atom_site_fract_z
Cs1 Cs 0.000 0.000 0.250
Cs2 Cs 0.183 0.317 0.000
Mn1 Mn 0.000 0.500 0.250
H1 H 0.000 0.000 0.000
H2 H 0.119 0.381 0.334
```


# 2
This record from the Materials Project describes a geometry-optimized CsH5N2 structure. The functional is GGA-PBE.

* MP2020-corrected energy: -4.72 eV per atom
* ΔE to the lowest computed polymorph: 0.011 eV per atom
* total magnetization: 0.001 μB per cell

The structure in CIF format:
```
data_CsH5N2
_chemical_formula_sum 'Cs4 H20 N8'
_cell_length_a 7.049
_cell_length_b 5.732
_cell_length_c 10.283
_cell_angle_alpha 90.00
_cell_angle_beta 90.00
_cell_angle_gamma 90.00
_space_group_name_H-M_alt 'P n m a'
_space_group_IT_number 62
loop_
_space_group_symop_operation_xyz
'x,y,z'
'-x,-y,-z'
'-x+1/2,-y,z+1/2'
'x+1/2,y,-z+1/2'
'x+1/2,-y+1/2,-z+1/2'
'-x+1/2,y+1/2,z+1/2'
'-x,y+1/2,-z'
'x,-y+1/2,z'
loop_
_atom_site_label
_atom_site_type_symbol
_atom_site_fract_x
_atom_site_fract_y
_atom_site_fract_z
Cs1 Cs 0.205 0.250 0.084
H1 H 0.095 0.600 0.312
H2 H 0.112 0.250 0.479
H3 H 0.233 0.250 0.747
H4 H 0.234 0.750 0.864
N1 N 0.121 0.250 0.379
N2 N 0.122 0.750 0.256
```


no.,E_tot (Ry/atom),energy of formation (eV per atom)
1,-0.241,-0.1711
2,-0.341,-0.4080